Version A
CrH20N2O6F5: optimized geometry, GGA+U.

Unit cell a=7.144 b=7.144 c=13.509 alpha=89.50 beta=90.50 gamma=121.19
Sites, in units of the cell vectors:
H 0.178 0.268 0.847
H 0.421 0.200 0.560
H 0.662 0.333 0.402
H 0.093 0.269 0.347
H 0.232 0.423 0.440
H 0.808 0.217 0.558
O 0.891 0.733 0.087
O 0.105 0.842 0.413
O 0.158 0.895 0.913
H 0.822 0.732 0.153
H 0.268 0.178 0.653
H 0.732 0.822 0.347
H 0.577 0.768 0.940
F 0.709 0.008 0.750
F 0.992 0.291 0.250
H 0.203 0.517 0.202
F 0.700 0.700 0.250
Cr 0.000 0.000 0.500
H 0.768 0.577 0.560
N 0.667 0.336 0.825
H 0.316 0.792 0.201
H 0.520 0.316 0.798
H 0.684 0.480 0.298
F 0.291 0.992 0.250
H 0.333 0.662 0.098
F 0.300 0.300 0.750
H 0.483 0.797 0.702
O 0.730 0.836 0.913
F 0.008 0.709 0.750
H 0.192 0.783 0.442
H 0.092 0.827 0.846
O 0.836 0.730 0.587
O 0.164 0.270 0.413
F 0.663 0.332 0.530
O 0.895 0.158 0.587
N 0.333 0.664 0.175
O 0.270 0.164 0.087
H 0.731 0.907 0.847
H 0.797 0.483 0.798
O 0.109 0.267 0.913
O 0.733 0.891 0.413
H 0.908 0.173 0.154
H 0.792 0.316 0.299
H 0.208 0.684 0.701
H 0.579 0.800 0.440
N 0.664 0.333 0.325
H 0.423 0.232 0.060
H 0.827 0.092 0.654
H 0.200 0.421 0.940
H 0.907 0.731 0.653
H 0.783 0.192 0.058
H 0.338 0.667 0.598
F 0.668 0.337 0.030
H 0.800 0.579 0.060
H 0.269 0.093 0.153
O 0.267 0.109 0.587
H 0.517 0.203 0.298
F 0.332 0.663 0.970
H 0.667 0.338 0.902
H 0.173 0.908 0.346
N 0.336 0.667 0.675
O 0.842 0.105 0.087
H 0.316 0.520 0.702
H 0.684 0.208 0.799
H 0.217 0.808 0.942
F 0.337 0.668 0.470
Cr 0.000 0.000 0.000
H 0.480 0.684 0.202

Values from the calculation:
Crystal system: monoclinic
Space group: C2/c, No. 15
Magnetization (μB per cell): 6.00
Calculated volume (Å³ per cell): 590

Version B
CrH20N2O6F5: optimized geometry, GGA+U.

Unit cell a=9.175 b=9.175 c=12.124 alpha=91.01 beta=88.99 gamma=137.36
Sites, in units of the cell vectors:
F 0.671 0.671 0.250
Cr 0.000 0.000 0.500
F 0.779 0.053 0.762
O 0.800 0.946 0.388
O 0.987 0.817 0.424
H 0.794 0.575 0.080
H 0.237 0.161 0.668
H 0.575 0.794 0.420
H 0.604 0.466 0.303
H 0.912 0.125 0.833
O 0.054 0.200 0.888
H 0.534 0.396 0.803
O 0.229 0.235 0.084
H 0.913 0.125 0.641
H 0.248 0.745 0.506
H 0.650 0.745 0.911
F 0.333 0.586 0.933
H 0.396 0.534 0.697
H 0.752 0.255 0.494
F 0.947 0.221 0.262
N 0.452 0.674 0.667
H 0.875 0.088 0.333
H 0.125 0.912 0.667
F 0.586 0.333 0.567
H 0.604 0.334 0.408
N 0.548 0.326 0.333
H 0.180 0.432 0.210
H 0.432 0.180 0.290
H 0.224 0.770 0.058
F 0.221 0.947 0.238
F 0.329 0.329 0.750
O 0.013 0.183 0.576
H 0.466 0.604 0.197
O 0.235 0.229 0.416
F 0.053 0.779 0.738
O 0.200 0.054 0.612
H 0.161 0.237 0.832
O 0.765 0.771 0.584
O 0.771 0.765 0.916
F 0.667 0.414 0.067
O 0.183 0.013 0.924
H 0.425 0.206 0.580
H 0.770 0.224 0.442
H 0.745 0.650 0.589
H 0.087 0.875 0.359
H 0.875 0.087 0.141
H 0.206 0.425 0.920
H 0.776 0.230 0.942
H 0.088 0.875 0.167
O 0.817 0.987 0.076
H 0.820 0.568 0.790
H 0.230 0.776 0.558
H 0.763 0.839 0.332
F 0.414 0.667 0.433
N 0.326 0.548 0.167
H 0.350 0.255 0.089
Cr 0.000 0.000 0.000
H 0.255 0.752 0.006
H 0.745 0.248 0.994
O 0.946 0.800 0.112
H 0.255 0.350 0.411
H 0.396 0.666 0.592
H 0.568 0.820 0.710
H 0.125 0.913 0.859
H 0.666 0.396 0.908
N 0.674 0.452 0.833
H 0.839 0.763 0.168
H 0.334 0.604 0.092

Values from the calculation:
Crystal system: monoclinic
Space group: C2/c, No. 15
Magnetization (μB per cell): 2.00
Calculated volume (Å³ per cell): 691

version A is favored, and the nearest alternative lies 380 meV per atom above it.

Version A
Li2CrPO4F: optimized geometry, GGA+U.

Unit cell a=5.137 b=13.153 c=13.284 alpha=60.10 beta=90.00 gamma=90.00
Sites, in units of the cell vectors:
Li 0.781 0.843 0.830
Cr 0.778 0.071 0.602
O 0.830 0.392 0.145
Cr 0.291 0.425 0.674
O 0.927 0.164 0.912
O 0.583 0.664 0.921
O 0.182 0.797 0.860
Li 0.244 0.659 0.670
Li 0.265 0.916 0.170
O 0.350 0.102 0.856
F 0.004 0.988 0.223
F 0.493 0.518 0.769
P 0.270 0.168 0.416
P 0.770 0.832 0.084
O 0.917 0.664 0.421
Cr 0.278 0.929 0.898
O 0.573 0.164 0.412
O 0.330 0.608 0.355
F 0.496 0.988 0.723
Cr 0.791 0.575 0.826
Cr 0.222 0.929 0.398
O 0.170 0.608 0.855
Li 0.256 0.659 0.170
O 0.170 0.604 0.047
O 0.682 0.203 0.640
F 0.993 0.482 0.731
Cr 0.722 0.071 0.102
Li 0.756 0.581 0.091
O 0.671 0.704 0.149
P 0.280 0.667 0.921
Li 0.744 0.581 0.591
Li 0.256 0.419 0.409
F 0.504 0.012 0.277
O 0.427 0.836 0.588
O 0.670 0.396 0.453
O 0.830 0.890 0.456
O 0.829 0.704 0.649
Li 0.235 0.916 0.670
Cr 0.709 0.575 0.326
Li 0.765 0.084 0.330
O 0.083 0.336 0.579
O 0.670 0.392 0.645
O 0.329 0.296 0.851
O 0.330 0.110 0.044
O 0.318 0.797 0.360
Li 0.756 0.341 0.330
O 0.650 0.898 0.144
P 0.780 0.333 0.579
O 0.150 0.102 0.356
Cr 0.209 0.425 0.174
O 0.830 0.396 0.953
Li 0.281 0.157 0.670
Li 0.744 0.341 0.830
P 0.730 0.832 0.584
O 0.818 0.203 0.140
O 0.330 0.604 0.547
Li 0.735 0.084 0.830
F 0.007 0.518 0.269
P 0.230 0.168 0.916
O 0.073 0.836 0.088
O 0.417 0.336 0.079
P 0.220 0.667 0.421
O 0.850 0.898 0.644
Li 0.219 0.157 0.170
F 0.507 0.482 0.231
O 0.170 0.110 0.544
F 0.996 0.012 0.777
O 0.171 0.296 0.351
P 0.720 0.333 0.079
Li 0.719 0.843 0.330
O 0.670 0.890 0.956
Li 0.244 0.419 0.909

Values from the calculation:
Crystal system: monoclinic
Space group: P2_1/c, No. 14
Magnetization (μB per cell): 32.00
Calculated volume (Å³ per cell): 778

Version B
Li2CrPO4F: optimized geometry, GGA+U.

Unit cell a=5.311 b=5.568 c=7.622 alpha=107.74 beta=107.17 gamma=93.91
Sites, in units of the cell vectors:
O 0.649 0.627 0.365
F 0.812 0.110 0.720
P 0.651 0.349 0.249
O 0.369 0.240 0.086
Li 0.520 0.181 0.856
O 0.856 0.327 0.136
P 0.357 0.664 0.788
Li 0.761 0.441 0.675
O 0.637 0.784 0.938
O 0.289 0.832 0.654
F 0.154 0.881 0.293
Cr 0.994 0.996 0.508
O 0.133 0.663 0.884
O 0.367 0.383 0.675
Li 0.168 0.546 0.126
O 0.712 0.196 0.392
Li 0.491 0.913 0.476
Cr 0.008 0.000 0.020

Values from the calculation:
Crystal system: triclinic
Space group: P1, No. 1
Magnetization (μB per cell): 8.00
Calculated volume (Å³ per cell): 202

version A is favored, and the nearest alternative lies 14 meV per atom above it.

Version A
Li2CrPO4F: optimized geometry, GGA+U.

Unit cell a=6.642 b=10.517 c=11.057 alpha=90.00 beta=90.00 gamma=90.00
Sites, in units of the cell vectors:
Li 0.974 0.743 0.163
O 0.942 0.693 0.485
O 0.560 0.464 0.818
O 0.250 0.607 0.942
O 0.750 0.668 0.757
P 0.750 0.744 0.422
Cr 0.500 0.000 0.500
Cr 0.000 0.500 0.500
O 0.750 0.714 0.286
O 0.750 0.470 0.622
F 0.250 0.069 0.869
O 0.250 0.832 0.257
Li 0.526 0.743 0.163
Li 0.974 0.243 0.337
F 0.750 0.431 0.369
O 0.250 0.286 0.714
Cr 0.500 0.500 0.000
P 0.750 0.244 0.078
O 0.250 0.030 0.122
Li 0.250 0.972 0.726
F 0.250 0.569 0.631
O 0.250 0.107 0.558
Li 0.250 0.731 0.418
O 0.060 0.036 0.318
O 0.940 0.464 0.818
O 0.250 0.786 0.786
O 0.558 0.693 0.485
Li 0.250 0.231 0.082
O 0.250 0.530 0.378
O 0.558 0.193 0.015
O 0.942 0.193 0.015
O 0.750 0.168 0.743
Li 0.750 0.269 0.582
P 0.250 0.256 0.578
O 0.750 0.393 0.058
P 0.750 0.021 0.744
Li 0.526 0.243 0.337
Cr 0.500 0.500 0.500
Li 0.750 0.769 0.918
Li 0.750 0.528 0.226
Li 0.250 0.472 0.774
P 0.250 0.756 0.922
Cr 0.000 0.000 0.000
O 0.940 0.964 0.682
O 0.750 0.970 0.878
F 0.750 0.151 0.450
Cr 0.500 0.000 0.000
O 0.060 0.536 0.182
O 0.442 0.807 0.985
O 0.058 0.807 0.985
O 0.442 0.307 0.515
O 0.750 0.214 0.214
Li 0.750 0.028 0.274
P 0.250 0.479 0.244
O 0.250 0.332 0.243
P 0.250 0.979 0.256
Li 0.474 0.257 0.837
O 0.440 0.036 0.318
O 0.750 0.893 0.442
Cr 0.000 0.000 0.500
F 0.250 0.849 0.550
Li 0.026 0.757 0.663
Li 0.026 0.257 0.837
O 0.560 0.964 0.682
O 0.440 0.536 0.182
F 0.250 0.349 0.950
F 0.750 0.651 0.050
P 0.750 0.521 0.756
O 0.058 0.307 0.515
Li 0.474 0.757 0.663
F 0.750 0.931 0.131
Cr 0.000 0.500 0.000

Values from the calculation:
Crystal system: orthorhombic
Space group: Pnma, No. 62
Magnetization (μB per cell): 31.99
Calculated volume (Å³ per cell): 772

Version B
Li2CrPO4F: optimized geometry, GGA+U.

Unit cell a=5.200 b=11.444 c=13.268 alpha=90.00 beta=90.00 gamma=90.00
Sites, in units of the cell vectors:
F 0.500 0.250 0.620
P 0.699 0.087 0.374
O 0.814 0.641 0.721
Li 0.768 0.598 0.364
P 0.301 0.413 0.374
Cr 0.734 0.829 0.988
O 0.314 0.859 0.221
Li 0.732 0.098 0.136
Li 0.720 0.819 0.260
O 0.701 0.154 0.970
Cr 0.734 0.329 0.012
O 0.314 0.359 0.779
O 0.201 0.346 0.470
O 0.186 0.359 0.279
Li 0.280 0.681 0.260
F 0.000 0.250 0.640
Li 0.232 0.402 0.636
F 0.500 0.750 0.860
P 0.301 0.913 0.626
O 0.709 0.958 0.883
Cr 0.234 0.671 0.488
O 0.897 0.408 0.875
P 0.801 0.587 0.126
F 0.500 0.750 0.380
Li 0.780 0.819 0.760
O 0.103 0.592 0.125
Cr 0.266 0.171 0.012
O 0.791 0.958 0.383
P 0.199 0.413 0.874
O 0.299 0.346 0.970
O 0.103 0.092 0.875
F 0.500 0.250 0.140
O 0.603 0.408 0.375
Li 0.220 0.181 0.240
Li 0.780 0.319 0.240
O 0.299 0.846 0.030
Li 0.220 0.681 0.760
O 0.897 0.908 0.125
Cr 0.266 0.671 0.988
O 0.709 0.458 0.117
F 0.000 0.750 0.880
Li 0.732 0.598 0.864
Cr 0.766 0.829 0.488
F 0.000 0.250 0.120
F 0.000 0.750 0.360
O 0.799 0.154 0.470
O 0.186 0.859 0.721
P 0.699 0.587 0.626
O 0.209 0.542 0.383
O 0.603 0.908 0.625
O 0.397 0.592 0.625
Li 0.268 0.402 0.136
Cr 0.766 0.329 0.512
O 0.209 0.042 0.617
P 0.199 0.913 0.126
O 0.397 0.092 0.375
O 0.686 0.141 0.779
Li 0.768 0.098 0.636
O 0.701 0.654 0.030
O 0.201 0.846 0.530
O 0.814 0.141 0.279
Li 0.280 0.181 0.740
O 0.291 0.542 0.883
O 0.291 0.042 0.117
O 0.686 0.641 0.221
P 0.801 0.087 0.874
O 0.791 0.458 0.617
Li 0.232 0.902 0.364
O 0.799 0.654 0.530
Li 0.268 0.902 0.864
Li 0.720 0.319 0.740
Cr 0.234 0.171 0.512

Values from the calculation:
Crystal system: orthorhombic
Space group: Pbcn, No. 60
Magnetization (μB per cell): 32.00
Calculated volume (Å³ per cell): 790

version A is favored, and the nearest alternative lies 38 meV per atom above it.

Version A
MgCrF4: optimized geometry, GGA+U.

Unit cell a=6.250 b=6.250 c=5.054 alpha=70.42 beta=70.42 gamma=53.87
Sites, in units of the cell vectors:
F 0.252 0.490 0.679
F 0.748 0.510 0.321
F 0.204 0.008 0.337
Cr 0.500 0.000 0.000
F 0.796 0.992 0.663
Mg 0.186 0.814 0.750
F 0.510 0.748 0.821
F 0.992 0.796 0.163
F 0.490 0.252 0.179
Cr 0.000 0.500 0.500
Mg 0.814 0.186 0.250
F 0.008 0.204 0.837

Values from the calculation:
Crystal system: monoclinic
Space group: C2/c, No. 15
Magnetization (μB per cell): 8.00
Calculated volume (Å³ per cell): 148

Version B
MgCrF4: optimized geometry, GGA+U.

Unit cell a=6.348 b=6.348 c=6.348 alpha=132.64 beta=131.77 gamma=69.91
Sites, in units of the cell vectors:
Cr 0.000 0.500 0.500
Cr 0.500 0.000 0.500
F 0.945 0.427 0.100
F 0.326 0.845 0.900
F 0.826 0.927 0.482
F 0.445 0.345 0.518
F 0.055 0.573 0.900
F 0.174 0.073 0.518
F 0.674 0.155 0.100
Mg 0.750 0.750 0.000
F 0.555 0.655 0.482
Mg 0.250 0.250 0.000

Values from the calculation:
Crystal system: orthorhombic
Space group: Ibam, No. 72
Magnetization (μB per cell): 0.00
Calculated volume (Å³ per cell): 138

version A is favored, and the nearest alternative lies 60 meV per atom above it.